Al4H50S7O52 | GGA-PBE | optimized geometry

Unit cell a=7.4386 b=12.5435 c=12.8451 alpha=67.28 beta=75.67 gamma=74.70
With the nearest neighbours (Å) after each atom.
Sites, in units of the cell vectors:
1 S 0.6555 0.2698 0.5609  4 O 1.49-1.51
2 H 0.7950 0.3897 0.0841  1 O 1.01
3 O 0.5770 0.3775 0.4677  1 H 1.46, 1 S 1.51
4 O 0.5038 0.7732 0.3483  1 S 1.49, 1 H 1.66
5 S 0.9010 0.3308 0.9061  4 O 1.48-1.51
6 H 0.0523 0.9056 0.4406  1 O 1.00
7 H 0.3750 0.4242 0.4683  1 O 1.05
8 H 0.9833 0.8433 0.1844  1 O 1.00
9 H 0.4245 0.1046 0.6594  1 O 1.00
10 O 0.1618 0.2746 0.2044  1 S 1.51
11 O 0.1425 0.6076 0.2113  1 S 1.48, 1 H 1.59
12 H 0.4393 0.2598 0.7705  1 O 1.00
13 O 0.0386 0.1392 0.7430  2 H 1.00
14 H 0.0540 0.6338 0.8324  1 O 0.99
15 O 0.9514 0.6166 0.0774  1 S 1.51
16 O 0.7669 0.5389 0.5413  3 H 1.01-1.05
17 H 0.5164 0.5690 0.7703  1 O 1.00
18 O 0.9219 0.9460 0.4232  2 H 1.00
19 O 0.4999 0.1079 0.0385  1 H 1.56, 1 S 1.61
20 O 0.0980 0.0604 0.2129  2 H 0.99-1.05
21 O 0.2037 0.9248 0.8740  2 H 1.00-1.03
22 H 0.1678 0.0880 0.5062  1 O 1.00
23 H 0.5028 0.9731 0.6518  1 O 0.99
24 O 0.2664 0.6506 0.0065  1 S 1.49, 1 H 1.63
25 Al 0.7216 0.5680 0.1493  6 O 1.87-1.92
26 H 0.6762 0.0832 0.0948  1 O 1.03
27 H 0.1177 0.8847 0.9433  1 O 1.00
28 H 0.3601 0.7885 0.7252  1 O 1.01
29 O 0.2073 0.4840 0.7025  2 H 0.98-1.00
30 H 0.1959 0.4207 0.4127  1 O 1.03
31 O 0.7046 0.8582 0.6244  1 S 1.49
32 H 0.3623 0.5607 0.2152  1 O 1.01
33 O 0.1394 0.3449 0.3602  1 S 1.49, 1 H 1.54
34 Al 0.2784 0.4320 0.8507  6 O 1.87-1.92
35 H 0.8322 0.9120 0.4938  1 O 1.00
36 H 0.6399 0.2115 0.2748  1 O 1.01
37 O 0.7869 0.3047 0.6076  1 S 1.49
38 O 0.6118 0.9690 0.3351  2 H 0.99-1.00
39 O 0.7927 0.5160 0.2975  2 H 0.98-1.00
40 S 0.0990 0.6692 0.0939  4 O 1.48-1.51
41 O 0.2331 0.4611 0.4587  3 H 1.01-1.05
42 H 0.6250 0.5758 0.5317  1 O 1.05
43 H 0.8823 0.1153 0.0567  1 O 1.00
44 H 0.2194 0.5497 0.4224  1 O 1.01
45 H 0.1159 0.1346 0.2160  1 O 0.99
46 O 0.4932 0.5119 0.2229  2 H 1.00-1.01
47 O 0.1761 0.5864 0.8563  2 H 0.99-1.01
48 H 0.3238 0.9168 0.9052  1 O 1.03
49 O 0.4025 0.2829 0.8406  2 H 1.00
50 O 0.4465 0.3040 0.2429  1 S 1.50, 2 H 1.62-1.63
51 O 0.5975 0.7171 0.1594  2 H 1.00
52 H 0.9513 0.2001 0.6923  1 O 1.00
53 O 0.7336 0.3494 0.9935  1 S 1.49, 1 H 1.63
54 S 0.5000 0.0000 0.0000  4 O 1.56-1.61
55 O 0.5535 0.6960 0.7571  1 S 1.50, 2 H 1.62-1.63
56 O 0.0781 0.0540 0.5768  2 H 1.00
57 H 0.5056 0.6345 0.0008  1 O 1.00
58 O 0.2816 0.0143 0.0374  1 H 1.49, 1 S 1.56
59 O 0.3570 0.3822 0.9952  2 H 1.00
60 H 0.4419 0.2187 0.9113  1 O 1.00
61 S 0.3445 0.7302 0.4391  4 O 1.49-1.51
62 O 0.7963 0.0752 0.1260  2 H 1.00-1.03
63 H 0.4944 0.3655 0.9992  1 O 1.00
64 H 0.2452 0.8404 0.6194  1 O 0.99
65 O 0.5001 0.8921 0.9615  1 H 1.56, 1 S 1.61
66 O 0.8239 0.4136 0.1437  2 H 0.99-1.01
67 H 0.5581 0.7813 0.0887  1 O 1.00
68 O 0.7539 0.1547 0.3053  2 H 0.99-1.01
69 O 0.5068 0.4881 0.7771  2 H 1.00-1.01
70 O 0.8575 0.3924 0.7887  1 S 1.48, 1 H 1.59
71 H 0.5607 0.7402 0.2295  1 O 1.00
72 O 0.0282 0.7963 0.0736  1 S 1.48
73 O 0.4962 0.2268 0.6517  1 S 1.49, 1 H 1.66
74 H 0.9276 0.4886 0.3035  1 O 0.98
75 O 0.9614 0.8608 0.2570  2 H 1.00
76 O 0.0486 0.3834 0.9226  1 S 1.51
77 O 0.8606 0.6551 0.6398  1 S 1.49, 1 H 1.54
78 H 0.7548 0.1596 0.3806  1 O 0.99
79 H 0.4972 0.0269 0.3482  1 O 0.99
80 S 0.7397 0.7340 0.7022  4 O 1.49-1.51
81 O 0.2432 0.8232 0.4888  1 S 1.49, 1 H 1.62
82 H 0.0724 0.5114 0.6965  1 O 0.98
83 S 0.2603 0.2660 0.2978  4 O 1.49-1.51
84 H 0.5755 0.8954 0.3406  1 O 1.00
85 O 0.2461 0.8453 0.6947  2 H 0.99-1.01
86 O 0.2131 0.6953 0.3924  1 S 1.49
87 H 0.2050 0.6103 0.9159  1 O 1.01
88 Al 0.1403 0.9885 0.7274  6 O 1.87-1.94
89 H 0.7193 0.4599 0.3619  1 O 1.00
90 O 0.6430 0.6178 0.0048  2 H 1.00
91 O 0.8382 0.7254 0.7956  1 S 1.51
92 H 0.7806 0.4503 0.5776  1 O 1.01
93 O 0.4230 0.6225 0.5323  1 H 1.46, 1 S 1.51
94 H 0.0167 0.1567 0.8156  1 O 1.00
95 H 0.9477 0.0944 0.5594  1 O 1.00
96 H 0.1816 0.0494 0.1380  1 O 1.05
97 H 0.4836 0.4310 0.2297  1 O 1.00
98 O 0.3882 0.0310 0.6649  2 H 0.99-1.00
99 Al 0.8597 0.0115 0.2726  6 O 1.87-1.94
100 O 0.2954 0.1418 0.3756  1 S 1.49
101 H 0.2876 0.3378 0.0702  1 O 1.00
102 O 0.9020 0.9396 0.7871  2 H 0.99-1.05
103 H 0.8841 0.8654 0.7840  1 O 0.99
104 H 0.8041 0.5793 0.5873  1 O 1.03
105 H 0.6377 0.4393 0.7848  1 O 1.01
106 H 0.2807 0.5401 0.6381  1 O 1.00
107 H 0.7124 0.6622 0.9298  1 O 1.00
108 O 0.7568 0.1768 0.5112  1 S 1.49, 1 H 1.62
109 H 0.9460 0.3662 0.1676  1 O 0.99
110 O 0.9718 0.2037 0.9264  1 S 1.48
111 H 0.8184 0.9506 0.8620  1 O 1.05
112 O 0.7184 0.9857 0.9626  1 H 1.49, 1 S 1.56
113 H 0.0487 0.7999 0.3077  1 O 1.00

Calculated density, g cm⁻³: 1.92
Magnetic moment, μB per formula unit: 0.000
E_tot, eV per atom: -5.44
Space group: P-1 (2)

Al2H18SO15 | GGA-PBE | optimized geometry

Unit cell a=15.8065 b=7.5410 c=11.7829 alpha=69.40 beta=90.00 gamma=90.00
With the nearest neighbours (Å) after each atom.
Sites, in units of the cell vectors:
1 H 0.3408 0.8634 0.3766  1 O 0.99
2 H 0.4362 0.6503 0.7374  1 O 0.99
3 H 0.1924 0.1253 0.3934  1 O 0.98
4 O 0.8750 0.7588 0.2063  2 H 1.00
5 H 0.0384 0.9018 0.3395  1 O 1.00
6 O 0.4530 0.7416 0.6574  1 H 0.99
7 H 0.8319 0.6101 0.9045  1 O 1.01
8 H 0.9627 0.6226 0.6309  1 O 0.99
9 H 0.0373 0.3774 0.3691  1 O 0.99
10 H 0.2373 0.7934 0.7350  1 O 1.00
11 O 0.6063 0.1317 0.5798  1 H 0.99
12 H 0.2028 0.5952 0.0927  1 O 0.99
13 O 0.0470 0.7416 0.1574  1 H 0.99
14 S 0.6248 0.2966 0.9287  4 O 1.49-1.50
15 H 0.3267 0.3382 0.8753  1 O 1.02
16 O 0.7900 0.2864 0.3783  1 S 1.49
17 O 0.0066 0.0360 0.7206  2 H 0.99-1.00
18 H 0.3809 0.3397 0.2107  1 O 1.00
19 O 0.1250 0.2412 0.7937  2 H 1.00
20 O 0.3937 0.8683 0.4202  1 H 0.99
21 O 0.8916 0.4948 0.4239  1 S 1.50, 2 H 1.64-1.65
22 H 0.7028 0.4048 0.4073  1 O 0.99
23 H 0.4616 0.9018 0.8395  1 O 1.00
24 H 0.1733 0.3382 0.3753  1 O 1.02
25 H 0.5984 0.8604 0.4439  1 O 1.00
26 H 0.7171 0.9291 0.3274  1 O 1.00
27 O 0.2900 0.7136 0.1217  1 S 1.49
28 O 0.4589 0.1282 0.5232  1 H 1.00
29 H 0.3076 0.1253 0.8934  1 O 0.98
30 O 0.9423 0.2469 0.3548  1 S 1.50
31 O 0.6084 0.4948 0.9239  1 S 1.50, 2 H 1.64-1.65
32 H 0.1681 0.3899 0.0955  1 O 1.01
33 H 0.6924 0.8747 0.1066  1 O 0.98
34 H 0.0877 0.4793 0.4468  1 O 1.00
35 H 0.2829 0.0709 0.6726  1 O 1.00
36 O 0.9128 0.5426 0.6325  2 H 0.99-1.00
37 O 0.7208 0.7588 0.1083  2 H 0.98-1.02
38 Al 0.9531 0.3432 0.9762  6 O 1.88-2.06
39 H 0.6825 0.7510 0.6736  1 O 1.00
40 S 0.1248 0.7034 0.5713  4 O 1.49-1.50
41 O 0.7518 0.1276 0.2142  2 H 0.99-1.00
42 O 0.9934 0.9640 0.2794  2 H 0.99-1.00
43 H 0.3175 0.2490 0.3264  1 O 1.00
44 O 0.4128 0.4574 0.8675  2 H 0.99-1.00
45 H 0.4016 0.1396 0.5561  1 O 1.00
46 H 0.1592 0.8634 0.8766  1 O 0.99
47 O 0.4423 0.7531 0.1452  1 S 1.50
48 H 0.7670 0.8046 0.9683  1 O 1.00
49 O 0.8798 0.1653 0.5576  1 S 1.50
50 O 0.7482 0.1276 0.7142  2 H 0.99-1.00
51 H 0.8809 0.6603 0.2893  1 O 1.00
52 H 0.3319 0.3899 0.5955  1 O 1.01
53 H 0.0331 0.9370 0.6946  1 O 0.99
54 H 0.4123 0.4793 0.9468  1 O 1.00
55 O 0.6947 0.8208 0.3981  2 H 1.00
56 O 0.5066 0.9640 0.7794  2 H 0.99-1.00
57 O 0.2792 0.2412 0.8917  2 H 0.98-1.02
58 H 0.4627 0.3774 0.8691  1 O 0.99
59 H 0.5384 0.0982 0.1605  1 O 1.00
60 Al 0.5341 0.9275 0.6278  6 O 1.84-1.98
61 O 0.2518 0.8724 0.2858  2 H 0.99-1.00
62 O 0.6525 0.4742 0.4203  2 H 0.99-1.01
63 Al 0.5469 0.3432 0.4762  6 O 1.88-2.06
64 Al 0.4531 0.6568 0.5238  6 O 1.88-2.06
65 O 0.5470 0.2584 0.3426  1 H 0.99
66 H 0.7829 0.9291 0.8274  1 O 1.00
67 O 0.2482 0.8724 0.7858  2 H 0.99-1.00
68 H 0.8408 0.1366 0.1234  1 O 0.99
69 H 0.5373 0.6226 0.1309  1 O 0.99
70 H 0.8267 0.6618 0.6247  1 O 1.02
71 H 0.7973 0.1779 0.6605  1 O 0.99
72 H 0.2973 0.8221 0.8395  1 O 0.99
73 Al 0.4659 0.0725 0.3722  6 O 1.84-1.98
74 H 0.4669 0.9370 0.1946  1 O 0.99
75 H 0.9016 0.8604 0.9439  1 O 1.00
76 H 0.0984 0.1396 0.0561  1 O 1.00
77 O 0.0411 0.1282 0.0232  1 H 1.00
78 H 0.7972 0.4048 0.9073  1 O 0.99
79 O 0.9530 0.2584 0.8426  1 H 0.99
80 H 0.6191 0.6603 0.7893  1 O 1.00
81 O 0.3750 0.2412 0.2937  2 H 1.00
82 H 0.8175 0.7510 0.1736  1 O 1.00
83 S 0.8752 0.2966 0.4287  4 O 1.49-1.50
84 H 0.9616 0.0982 0.6605  1 O 1.00
85 O 0.5411 0.8718 0.4768  1 H 1.00
86 O 0.0577 0.7531 0.6452  1 S 1.50
87 O 0.8937 0.1317 0.0798  1 H 0.99
88 H 0.0427 0.6042 0.8187  1 O 0.97
89 O 0.3053 0.1792 0.6019  2 H 1.00
90 O 0.3798 0.8347 0.9424  1 S 1.50
91 H 0.9362 0.3497 0.7626  1 O 0.99
92 H 0.1191 0.3397 0.7107  1 O 1.00
93 O 0.7100 0.2864 0.8783  1 S 1.49
94 O 0.4934 0.0360 0.2206  2 H 0.99-1.00
95 Al 0.0469 0.6568 0.0238  6 O 1.88-2.06
96 H 0.9123 0.5207 0.5532  1 O 1.00
97 H 0.2670 0.1954 0.5317  1 O 1.00
98 H 0.8076 0.8747 0.6066  1 O 0.98
99 H 0.2330 0.1954 0.0317  1 O 1.00
100 H 0.4573 0.6042 0.3187  1 O 0.97
101 H 0.5638 0.3497 0.2626  1 O 0.99
102 O 0.5872 0.5426 0.1325  2 H 0.99-1.00
103 H 0.2627 0.7934 0.2350  1 O 1.00
104 O 0.3475 0.5258 0.5797  2 H 0.99-1.01
105 O 0.3916 0.5052 0.0761  1 S 1.50, 2 H 1.64-1.65
106 H 0.2027 0.8221 0.3395  1 O 0.99
107 O 0.8053 0.8208 0.8981  2 H 1.00
108 O 0.4765 0.5540 0.4026  1 H 0.97
109 H 0.9573 0.3958 0.1813  1 O 0.97
110 H 0.7627 0.2066 0.2650  1 O 1.00
111 H 0.6592 0.1366 0.6234  1 O 0.99
112 H 0.2171 0.0709 0.1726  1 O 1.00
113 H 0.6733 0.6618 0.1247  1 O 1.02
114 H 0.0638 0.6503 0.2374  1 O 0.99
115 H 0.7373 0.2066 0.7650  1 O 1.00
116 O 0.0872 0.4574 0.3675  2 H 0.99-1.00
117 O 0.9589 0.8718 0.9768  1 H 1.00
118 H 0.1825 0.2490 0.8264  1 O 1.00
119 O 0.6250 0.7588 0.7063  2 H 1.00
120 H 0.5427 0.3958 0.6813  1 O 0.97
121 O 0.1947 0.1792 0.1019  2 H 1.00
122 O 0.1063 0.8683 0.9202  1 H 0.99
123 Al 0.0341 0.0725 0.8722  6 O 1.84-1.98
124 O 0.1202 0.8347 0.4424  1 S 1.50
125 O 0.1525 0.5258 0.0797  2 H 0.99-1.01
126 O 0.8475 0.4742 0.9203  2 H 0.99-1.01
127 H 0.9669 0.0630 0.3054  1 O 0.99
128 O 0.1084 0.5052 0.5761  1 S 1.50, 2 H 1.64-1.65
129 O 0.9765 0.4460 0.0974  1 H 0.97
130 O 0.7792 0.7588 0.6083  2 H 0.98-1.02
131 O 0.2100 0.7136 0.6217  1 S 1.49
132 H 0.6681 0.6101 0.4045  1 O 1.01
133 O 0.5235 0.4460 0.5974  1 H 0.97
134 O 0.0235 0.5540 0.9026  1 H 0.97
135 O 0.5577 0.2469 0.8548  1 S 1.50
136 O 0.6202 0.1653 0.0576  1 S 1.50
137 H 0.5331 0.0630 0.8054  1 O 0.99
138 H 0.2972 0.5952 0.5927  1 O 0.99
139 O 0.2208 0.2412 0.3917  2 H 0.98-1.02
140 H 0.7027 0.1779 0.1605  1 O 0.99
141 H 0.5877 0.5207 0.0532  1 O 1.00
142 S 0.3752 0.7034 0.0713  4 O 1.49-1.50
143 Al 0.9659 0.9275 0.1278  6 O 1.84-1.98
144 H 0.7330 0.8046 0.4683  1 O 1.00

Calculated density, g cm⁻³: 1.74
Magnetic moment, μB per formula unit: 0.008
E_tot, eV per atom: -5.45
E above lowest polymorph, eV/f.u.: 0.00
Space group: P2_1/c (14)